VASP calculation (PBE-GGA) on a geometry-optimized YSiO3 structure.

total magnetization = 0.00 μB per cell
energy of formation from the pure elements = -14.02 eV per formula unit
total energy = -38.693 eV/cell

Cell: 3.724 3.724 3.724 Å, 90.00 90.00 90.00°
Fractional positions:
Si  0.500  0.500  0.500
O  0.500  0.500  0.000
O  0.500  0.000  0.500
Y  0.000  0.000  0.000
O  0.000  0.500  0.500